This record from the Materials Project describes crystalline Sr4Nb5O15 at its relaxed geometry. The functional is meta-GGA r2SCAN.

The structure in CIF format:
```
data_Sr4Nb5O15
_cell_length_a 9.029
_cell_length_b 9.029
_cell_length_c 6.995
_cell_angle_alpha 75.05
_cell_angle_beta 75.05
_cell_angle_gamma 36.87
_space_group_name_H-M_alt 'P 1'
_space_group_IT_number 1
loop_
_space_group_symop_operation_xyz
'x,y,z'
loop_
_atom_site_label
_atom_site_type_symbol
_atom_site_fract_x
_atom_site_fract_y
_atom_site_fract_z
Sr1 Sr 0.597 0.597 0.608
Sr2 Sr 0.197 0.197 0.198
Sr3 Sr 0.803 0.803 0.802
Sr4 Sr 0.403 0.403 0.392
Nb1 Nb 0.802 0.802 0.296
Nb2 Nb 0.598 0.598 0.100
Nb3 Nb 0.198 0.198 0.704
Nb4 Nb 0.402 0.402 0.900
Nb5 Nb 0.000 0.000 0.500
O1 O 0.101 0.588 0.101
O2 O 0.899 0.412 0.899
O3 O 0.500 0.000 0.500
O4 O 0.692 0.205 0.692
O5 O 0.308 0.795 0.308
O6 O 0.000 0.500 0.500
O7 O 0.795 0.308 0.308
O8 O 0.412 0.899 0.899
O9 O 0.588 0.101 0.101
O10 O 0.205 0.692 0.692
O11 O 0.897 0.897 0.409
O12 O 0.699 0.699 0.203
O13 O 0.301 0.301 0.797
O14 O 0.500 0.500 0.000
O15 O 0.103 0.103 0.591
```

Output
- Space-group type: C2/m, No. 12
- DFT formation energy: -69.7 kcal/mol of atoms